## InRe2C9O9 (GGA-PBE)

Data for a geometry-optimized InRe2C9O9 structure.

The structure in POSCAR format:
```
InRe2C9O9
1.0
16.8115 0.0000 0.0000
0.0000 6.9551 0.0000
0.0000 6.7688 12.8628
O C In Re
36 36 4 8
direct
0.6799 0.3622 0.2637
0.7445 0.7214 0.5227
0.8078 0.3875 0.4396
0.4938 0.1746 0.3722
0.8568 0.1403 0.0009
0.4438 0.2563 0.9125
0.8201 0.3622 0.7637
0.2555 0.2786 0.4773
0.1922 0.6125 0.5604
0.3078 0.6125 0.0604
0.0562 0.2563 0.4125
0.1432 0.8597 0.9991
0.6432 0.1403 0.5009
0.6238 0.1727 0.8014
0.2885 0.1875 0.2701
0.4592 0.3037 0.1222
0.2445 0.2786 0.9773
0.3201 0.6378 0.7363
0.2115 0.1875 0.7701
0.3568 0.8597 0.4991
0.1238 0.8273 0.6986
0.0062 0.1746 0.8722
0.7885 0.8125 0.2299
0.9592 0.6963 0.3778
0.5562 0.7437 0.0875
0.8762 0.1727 0.3014
0.9438 0.7437 0.5875
0.1799 0.6378 0.2363
0.7555 0.7214 0.0227
0.5408 0.6963 0.8778
0.0408 0.3037 0.6222
0.3762 0.8273 0.1986
0.5062 0.8254 0.6278
0.9938 0.8254 0.1278
0.6922 0.3875 0.9396
0.7115 0.8125 0.7299
0.1058 0.7140 0.7851
0.0201 0.7821 0.3653
0.5832 0.8647 0.1131
0.6058 0.2860 0.7149
0.4799 0.7821 0.8653
0.1824 0.3639 0.9637
0.9660 0.6979 0.1061
0.6206 0.2662 0.5266
0.2290 0.0939 0.2955
0.1206 0.7338 0.9734
0.4168 0.1353 0.8869
0.0340 0.3021 0.8939
0.8794 0.2662 0.0266
0.8942 0.2860 0.2149
0.5340 0.6979 0.6061
0.0832 0.1353 0.3869
0.3176 0.3639 0.4637
0.1678 0.7278 0.4785
0.3942 0.7140 0.2851
0.6611 0.2549 0.2258
0.6824 0.6361 0.5363
0.3389 0.7451 0.7742
0.9168 0.8647 0.6131
0.4660 0.3021 0.3939
0.8389 0.2549 0.7258
0.9799 0.2179 0.6347
0.5201 0.2179 0.1347
0.1611 0.7451 0.2742
0.3794 0.7338 0.4734
0.3322 0.7278 0.9785
0.8176 0.6361 0.0363
0.8322 0.2722 0.5215
0.7710 0.9061 0.7045
0.2710 0.0939 0.7955
0.6678 0.2722 0.0215
0.7290 0.9061 0.2045
0.5614 0.7724 0.3556
0.0614 0.2276 0.1444
0.9386 0.7724 0.8556
0.4386 0.2276 0.6444
0.0820 0.5186 0.9297
0.9180 0.4814 0.0703
0.1265 0.9278 0.3401
0.5820 0.4814 0.5703
0.8735 0.0722 0.6599
0.3735 0.9278 0.8401
0.6265 0.0722 0.1599
0.4180 0.5186 0.4297
```

Computed properties:
magnetic moment: 0.0 μB per formula unit
MP2020-corrected energy: -8.371 eV per atom
formation energy: -0.9791 eV/atom